Dy2InNi2 after structural relaxation. Source: the Materials Project, functional PBE.

Cell: 7.3815 7.3815 3.6261 Å, 90.00 90.00 90.00°
Element x y z (fractional)
Dy (0.6735, 0.1735, 0.5000)
Dy (0.3265, 0.8265, 0.5000)
Dy (0.1735, 0.3265, 0.5000)
Dy (0.8265, 0.6735, 0.5000)
In (0.5000, 0.5000, 0.0000)
In (0.0000, 0.0000, 0.0000)
Ni (0.1196, 0.6196, 0.0000)
Ni (0.8804, 0.3804, 0.0000)
Ni (0.6196, 0.8804, 0.0000)
Ni (0.3804, 0.1196, 0.0000)

Computed properties:
**Spin magnetization**: 0.000 μB/cell
**Energy of formation from the pure elements**: -0.511 eV/atom
**Density**: 9.366 g cm⁻³